Here is an optimized crystal structure of Dy3TlC from Materials Project. Energies are from PBE-GGA.

Its total energy is -3.465 eV per atom. The calculation puts the total magnetization at 0.0 μB per formula unit.

It has space group Pm-3m (No. 221), with a = 5.613 Å, b = 5.613 Å, c = 5.613 Å, α = 90.00°, β = 90.00° and γ = 90.00°. The distinct sites, in fractional coordinates, are Dy at (0.000, 0.000, 0.500), Tl at (0.000, 0.000, 0.000) and C at (0.500, 0.500, 0.500).